# CeFeB4 PBE relaxed
# E_form = -556 meV per atom
data_CeFeB4
_chemical_formula_sum 'Ce4 Fe4 B16'
_cell_length_a 5.946
_cell_length_b 11.524
_cell_length_c 3.466
_cell_angle_alpha 90.00
_cell_angle_beta 90.00
_cell_angle_gamma 90.00
_symmetry_space_group_name_H-M 'P b a m'
_symmetry_Int_Tables_number 55
loop_
_symmetry_equiv_pos_as_xyz
'x,y,z'
'-x,-y,-z'
'-x,-y,z'
'x,y,-z'
'x+1/2,-y+1/2,-z'
'-x+1/2,y+1/2,z'
'-x+1/2,y+1/2,-z'
'x+1/2,-y+1/2,z'
loop_
_atom_site_label
_atom_site_fract_x
_atom_site_fract_y
_atom_site_fract_z
Ce1 0.127 0.150 0.000
Fe1 0.134 0.410 0.000
B1 0.024 0.689 0.500
B2 0.110 0.545 0.500
B3 0.142 0.967 0.500
B4 0.221 0.816 0.500